A plane-wave DFT calculation with PBE-GGA was carried out for CePu after structural relaxation.

Results
Energy of formation from the pure elements = 0.102 eV/atom
Symmetry = R-3m (166)
DFT total energy = -20.00 eV per cell

```
2
Lattice="2.155 2.120 -1.313 0.253 -3.221 -0.650 -2.512 2.379 -4.415" Properties=species:S:1:pos:R:3 pbc="T T T"
Ce 0.000 0.000 0.000
Pu -0.052 0.639 -3.189
```



A plane-wave DFT calculation with PBE-GGA was carried out for Cd2InAgTe4 after structural relaxation.

Results
Energy of formation from the pure elements = -0.580 eV/atom
Symmetry = I-42m (121)
DFT total energy = -22.96 eV per cell
MP2020-corrected energy = -3.08 eV per atom

```
8
Lattice="0.000 0.000 -6.614 6.614 0.000 0.000 3.307 -6.557 -3.307" Properties=species:S:1:pos:R:3 pbc="T T T"
Cd 6.614 -3.279 -3.307
Cd 3.307 -3.279 -6.614
In 3.307 0.000 -3.307
Ag 0.000 0.000 0.000
Te 8.279 -4.948 -4.949
Te 4.972 -1.609 -4.972
Te 4.949 -4.948 -8.279
Te 1.642 -1.609 -1.642
```



A plane-wave DFT calculation with PBE-GGA was carried out for NaTi8Bi9O30 after structural relaxation.

Results
Energy of formation from the pure elements = -2.542 eV/atom
Symmetry = Cmmm (65)
DFT total energy = -349.34 eV per cell
MP2020-corrected energy = -7.71 eV per atom

```
48
Lattice="-3.894 3.894 0.000 -3.895 -3.895 0.000 -1.947 1.947 20.296" Properties=species:S:1:pos:R:3 pbc="T T T"
Na 0.000 0.000 0.000
Ti -1.947 1.947 6.086
Ti -5.842 1.946 6.087
Ti -3.895 -0.001 14.209
Ti -3.894 3.894 14.210
Ti -1.947 1.947 1.958
Ti -5.842 1.946 1.958
Ti -3.895 -0.001 18.338
Ti -3.894 3.894 18.338
Bi -1.947 1.947 15.971
Bi -5.842 1.946 16.496
Bi -3.895 -0.001 3.799
Bi -3.894 3.894 4.325
Bi -1.947 1.947 11.414
Bi -5.842 1.946 11.409
Bi -3.895 -0.001 8.887
Bi -3.894 3.894 8.882
Bi -3.895 -0.001 0.000
O -1.947 1.947 3.866
O -5.842 1.946 3.864
O -3.895 -0.001 16.432
O -3.894 3.894 16.430
O -3.858 1.947 14.585
O -7.826 1.946 14.585
O -5.842 3.930 14.585
O -5.842 -0.038 14.585
O -1.911 0.000 5.711
O -5.879 -0.001 5.711
O -3.895 1.983 5.711
O -3.895 -1.985 5.711
O -1.947 1.947 7.879
O -5.842 1.946 7.880
O -3.895 -0.001 12.416
O -3.894 3.894 12.417
O -1.947 1.947 0.000
O -1.948 -1.948 0.000
O -3.993 1.947 18.352
O -7.691 1.946 18.352
O -5.841 3.795 18.352
O -5.842 0.097 18.352
O -2.046 0.000 1.943
O -5.744 -0.001 1.943
O -3.894 1.848 1.943
O -3.895 -1.850 1.943
O -3.895 1.946 10.148
O -3.895 -1.948 10.148
O -1.948 -0.001 10.148
O -5.842 -0.001 10.148
```



A plane-wave DFT calculation with PBE-GGA was carried out for Hg after structural relaxation.

Results
Energy of formation from the pure elements = 0.025 eV/atom
Polymorph energy (0 for the lowest one) = 25 meV/atom
Symmetry = I4_1/amd (141)
DFT total energy = -0.56 eV per cell

```
2
Lattice="1.049 -4.335 1.428 -2.606 3.643 1.370 -2.623 -1.229 -3.680" Properties=species:S:1:pos:R:3 pbc="T T T"
Hg 0.000 0.000 0.000
Hg -3.003 1.034 -0.456
```



A plane-wave DFT calculation with PBE-GGA was carried out for TeMoWSeS2 after structural relaxation.

Results
Energy of formation from the pure elements = -0.723 eV/atom
Polymorph energy (0 for the lowest one) = 37 meV/atom
Symmetry = P3m1 (156)
DFT total energy = -84.09 eV per cell
MP2020-corrected energy = -7.18 eV per atom

```
12
Lattice="1.654 -2.865 0.000 1.654 2.865 0.000 0.000 0.000 38.312" Properties=species:S:1:pos:R:3 pbc="T T T"
Te 1.654 0.955 27.214
Te 1.654 0.955 23.363
Mo 1.654 0.955 17.912
Mo 1.654 -0.955 10.788
W 1.654 0.955 3.591
W 1.654 -0.955 25.288
Se 1.654 -0.955 16.231
Se 1.654 -0.955 19.590
S 1.654 0.955 12.317
S 1.654 -0.955 2.057
S 1.654 -0.955 5.125
S 1.654 0.955 9.261
```



A plane-wave DFT calculation with PBE-GGA was carried out for HoMn4Al8 after structural relaxation.

Results
Energy of formation from the pure elements = -0.342 eV/atom
Symmetry = I4/mmm (139)
DFT total energy = -75.65 eV per cell

```
13
Lattice="0.788 3.976 -3.172 6.372 2.087 0.023 1.698 -1.942 -6.189" Properties=species:S:1:pos:R:3 pbc="T T T"
Ho 0.000 0.000 0.000
Mn 3.580 3.032 -1.575
Mn 3.186 1.044 0.011
Mn 0.849 -0.971 -3.095
Mn 1.243 1.017 -4.681
Al 4.795 0.728 -2.073
Al 3.275 -0.583 -4.094
Al 3.244 2.684 -4.182
Al 5.613 1.437 -5.156
Al 3.142 0.951 -6.380
Al 5.716 3.170 -2.959
Al 6.827 2.994 -7.080
Al 2.030 1.127 -2.259
```



A plane-wave DFT calculation with PBE-GGA was carried out for P3Pb4O12 after structural relaxation.

Results
Energy of formation from the pure elements = -2.299 eV/atom
Symmetry = I-43d (220)
DFT total energy = -251.80 eV per cell
MP2020-corrected energy = -7.06 eV per atom

```
38
Lattice="-5.304 5.304 5.304 5.304 -5.304 5.304 5.304 5.304 -5.304" Properties=species:S:1:pos:R:3 pbc="T T T"
P 5.304 -2.652 3.978
P 5.304 2.652 1.326
P -2.652 3.978 5.304
P 2.652 1.326 5.304
P 3.978 5.304 -2.652
P 1.326 5.304 2.652
Pb 1.854 1.854 1.854
Pb 1.854 -1.854 3.449
Pb 3.449 1.854 -1.854
Pb 4.506 4.506 4.506
Pb -1.854 3.449 1.854
Pb -0.798 0.798 6.101
Pb 0.798 6.101 -0.798
Pb 6.101 -0.798 0.798
O -0.453 1.166 2.095
O 4.851 4.138 -2.095
O 0.453 6.470 3.209
O 1.166 2.095 -0.453
O 2.199 4.747 3.818
O 0.453 4.138 2.095
O 4.138 -2.095 4.851
O 2.199 5.860 1.486
O 6.470 3.209 0.453
O 3.104 5.860 -1.486
O 4.138 2.095 0.453
O 8.408 -0.557 1.486
O 2.095 -0.453 1.166
O 3.818 2.199 4.747
O 3.209 0.453 6.470
O -1.486 3.104 5.860
O 2.095 0.453 4.138
O 1.486 8.408 -0.557
O -2.095 4.851 4.138
O 1.486 2.199 5.860
O 4.747 3.818 2.199
O 5.860 1.486 2.199
O -0.557 1.486 8.408
O 5.860 -1.486 3.104
```



A plane-wave DFT calculation with PBE-GGA was carried out for MgTe2Mo2W2Se4S2 after structural relaxation.

Results
Energy of formation from the pure elements = -0.531 eV/atom
Polymorph energy (0 for the lowest one) = 15 meV/atom
Symmetry = Cm (8)
DFT total energy = -83.65 eV per cell
MP2020-corrected energy = -6.51 eV per atom

```
13
Lattice="-0.475 2.532 -2.142 -1.875 -0.228 2.767 29.196 24.012 21.766" Properties=species:S:1:pos:R:3 pbc="T T T"
Mg 14.778 13.983 13.196
Te 0.526 2.826 0.589
Te 3.068 4.906 2.484
Mo 1.331 2.945 3.173
Mo 12.120 11.808 11.216
W 7.288 8.382 5.630
W 18.403 17.521 13.916
Se 7.943 8.380 8.103
Se 19.055 17.516 16.386
Se 5.700 6.543 6.431
Se 16.811 15.680 14.714
S 11.578 11.902 8.827
S 13.611 13.571 10.343
```